Compound: CuB5
Source: the Materials Project
Functional: PBE-GGA
Structure: relaxed

Electronic total energy: -5.83 eV per atom
E_form: 0.416 eV per atom

Lattice parameters (Å, degrees): 5.5561 13.3995 11.6960 90.00 90.00 90.00
Space group Pbca (No. 61)
One atom of each set of equivalent atoms:
Cu 0.2383 0.2350 0.1981 x8
Cu 0.2494 0.5453 0.1871 x8
B 0.0173 0.1308 0.0833 x8
B 0.0403 0.0824 0.4254 x8
B 0.0549 0.5760 0.5547 x8
B 0.0980 0.7054 0.5304 x8
B 0.0984 0.7441 0.3821 x8
B 0.1173 0.2111 0.4341 x8
B 0.1315 0.1490 0.5742 x8
B 0.1469 0.0223 0.5402 x8
B 0.1477 0.5226 0.4142 x8
B 0.2472 0.6293 0.3311 x8

---

Compound: CuB5
Source: the Materials Project
Functional: PBE-GGA
Structure: relaxed

Electronic total energy: -5.86 eV per atom
E_form: 0.385 eV per atom

Lattice parameters (Å, degrees): 5.8064 13.7679 10.8821 90.00 90.00 90.00
Space group Pbca (No. 61)
One atom of each set of equivalent atoms:
Cu 0.2277 0.0034 0.2214 x8
Cu 0.2496 0.2487 0.2089 x8
B 0.0164 0.6064 0.9420 x8
B 0.0173 0.1057 0.9391 x8
B 0.0895 0.2240 0.8806 x8
B 0.0904 0.7244 0.8821 x8
B 0.0909 0.1991 0.0422 x8
B 0.0924 0.6995 0.0436 x8
B 0.2474 0.6217 0.8320 x8
B 0.2485 0.0784 0.0492 x8
B 0.2494 0.0537 0.5431 x8
B 0.2486 0.5211 0.9123 x8

---

Compound: Dy2CuB8O16
Source: the Materials Project
Functional: PBE-GGA
Structure: relaxed

Electronic total energy: -7.94 eV per atom
E_form: -2.946 eV per atom
E (MP2020): -450.9 eV for the cell shown

Lattice parameters (Å, degrees): 10.2688 8.4904 6.2635 90.00 90.31 90.00
Space group P2_1/c (No. 14)
One atom of each set of equivalent atoms:
Dy 0.1821 0.0063 0.4954 x4
Cu 0.5000 0.0000 0.5000 x2
B 0.9999 0.1823 0.8873 x4
B 0.1937 0.0036 0.9944 x4
B 0.3733 0.6933 0.3795 x4
B 0.3815 0.1908 0.1158 x4
O 0.0070 0.6634 0.0605 x4
O 0.1099 0.5871 0.6418 x4
O 0.1213 0.1111 0.8482 x4
O 0.2657 0.5953 0.3431 x4
O 0.2753 0.0908 0.1482 x4
O 0.3568 0.6549 0.9372 x4
O 0.3625 0.1574 0.5590 x4
O 0.4956 0.6258 0.3501 x4

---

Compound: LiCu2BP2H2O10
Source: the Materials Project
Functional: PBE-GGA
Structure: relaxed

Electronic total energy: -6.37 eV per atom
E_form: -2.089 eV per atom
E (MP2020): -485.9 eV for the cell shown

Lattice parameters (Å, degrees): 15.5779 4.8277 9.7964 90.00 92.21 90.00
Space group C2/c (No. 15)
One atom of each set of equivalent atoms:
Li 0.2500 0.2500 0.0000 x4
Cu 0.1465 0.2074 0.7304 x8
B 0.0000 0.2178 0.2500 x4
P 0.1426 0.3189 0.4115 x8
H 0.0742 0.1564 0.0889 x8
O 0.0523 0.3970 0.3424 x8
O 0.0531 0.0407 0.1626 x8
O 0.1464 0.4214 0.5602 x8
O 0.1581 0.0033 0.4035 x8
O 0.2099 0.4910 0.3336 x8

---

Compound: LiCu2BP2H2O10
Source: the Materials Project
Functional: PBE-GGA
Structure: relaxed

Electronic total energy: -6.38 eV per atom
E_form: -2.104 eV per atom
E (MP2020): -487.0 eV for the cell shown

Lattice parameters (Å, degrees): 5.4362 8.0295 17.6534 90.00 90.00 90.00
Space group P2_12_12_1 (No. 19)
One atom of each set of equivalent atoms:
Li 0.2404 0.1289 0.4540 x4
Cu 0.0317 0.8228 0.1576 x4
Cu 0.0439 0.1717 0.0176 x4
B 0.2190 0.4165 0.7642 x4
P 0.0667 0.4947 0.9067 x4
P 0.2464 0.5370 0.6185 x4
H 0.0464 0.1308 0.1805 x4
H 0.1209 0.1634 0.7606 x4
O 0.0187 0.5194 0.5661 x4
O 0.0282 0.4343 0.8224 x4
O 0.0301 0.5375 0.2911 x4
O 0.0684 0.6071 0.1062 x4
O 0.1269 0.2923 0.1089 x4
O 0.1466 0.5326 0.7028 x4
O 0.1860 0.0345 0.5591 x4
O 0.1934 0.3492 0.9504 x4
O 0.2300 0.2445 0.7361 x4
O 0.2370 0.6498 0.9069 x4

---

Compound: Cu3B6H2O13
Source: the Materials Project
Functional: PBE-GGA
Structure: relaxed

Electronic total energy: -6.90 eV per atom
E_form: -2.128 eV per atom
E (MP2020): -1396.4 eV for the cell shown

Lattice parameters (Å, degrees): 16.3095 16.6979 5.6905 90.00 90.00 90.00
Space group Fdd2 (No. 43)
One atom of each set of equivalent atoms:
Cu 0.0000 0.0000 0.0000 x8
Cu 0.0891 0.1709 0.6111 x16
B 0.0177 0.3321 0.6796 x16
B 0.0835 0.2703 0.0396 x16
B 0.1224 0.3770 0.3596 x16
H 0.0224 0.0432 0.4730 x16
O 0.0000 0.0000 0.3780 x8
O 0.0022 0.2489 0.6065 x16
O 0.0420 0.3846 0.4785 x16
O 0.0599 0.1368 0.2822 x16
O 0.0824 0.3327 0.8580 x16
O 0.1161 0.0482 0.9902 x16
O 0.1212 0.1957 0.9417 x16